Na2MgNb2Cu4S8, optimized geometry, DFT GGA-PBE; crystal system = monoclinic; symmetry = No. 6; energy relative to the lowest polymorph listed for this composition = 0.0093 eV/atom; magnetic moment = 0.4 Bohr magnetons per cell
1.0
-2.754 2.237 -4.508
-5.741 -4.826 1.112
-2.739 5.068 7.854
Cu Na S Nb Mg
4 2 8 2 1
Direct
0.379 0.750 0.209
0.161 0.250 0.771
0.768 0.504 0.999
0.768 0.996 0.999
0.017 0.250 0.363
0.663 0.750 0.656
0.013 0.750 0.008
0.634 0.998 0.212
0.815 0.250 0.588
0.634 0.502 0.212
0.012 0.250 0.993
0.418 0.497 0.789
0.244 0.750 0.411
0.418 0.003 0.789
0.657 0.250 0.782
0.894 0.750 0.223
0.459 0.250 0.050

***

Er6NiI10, optimized geometry, DFT GGA-PBE; crystal system = triclinic; symmetry = No. 2
1.0
-6.926 0.074 -3.251
-0.761 -6.190 7.293
-0.351 8.853 3.707
Ni Er I
1 6 10
Direct
0.000 0.000 0.000
0.660 0.878 0.839
0.972 0.280 0.084
0.028 0.720 0.916
0.110 0.038 0.764
0.340 0.122 0.161
0.890 0.962 0.236
0.737 0.911 0.534
0.547 0.186 0.906
0.357 0.456 0.275
0.780 0.261 0.349
0.263 0.089 0.466
0.220 0.739 0.651
0.643 0.544 0.725
0.086 0.373 0.818
0.453 0.814 0.094
0.914 0.627 0.182

***

HfMg14Mn, optimized geometry, DFT GGA-PBE; crystal system = hexagonal; symmetry = No. 187; energy relative to the lowest polymorph listed for this composition = 0.0185 eV/atom; magnetic moment = 4.0 Bohr magnetons per cell
1.0
-1.569 -5.575 2.579
-1.432 1.206 -6.057
8.907 -3.833 -2.869
Mg Mn Hf
14 1 1
Direct
0.166 0.833 0.125
0.843 0.171 0.372
0.664 0.327 0.625
0.667 0.334 0.125
0.664 0.836 0.625
0.329 0.657 0.878
0.329 0.657 0.372
0.329 0.171 0.372
0.667 0.833 0.125
0.173 0.836 0.625
0.833 0.667 0.378
0.833 0.667 0.872
0.843 0.171 0.878
0.329 0.171 0.878
0.167 0.333 0.125
0.167 0.333 0.625

***

Mg3Ni, optimized geometry, DFT GGA-PBE; crystal system = orthorhombic; symmetry = No. 25; magnetic moment = 0.0 Bohr magnetons per cell
1.0
-0.684 -1.402 2.680
-2.781 -2.969 -2.264
3.857 -3.120 -0.647
Mg Ni
3 1
Direct
0.000 0.000 0.673
0.000 0.500 0.315
0.500 0.500 0.844
0.500 0.000 0.168

***

| no. | formation enthalpy at 0 K (eV per atom) | energy (eV per atom) |
| --- | --- | --- |
| 1 | -0.876 | -4.99 |
| 2 | -1.411 | -4.04 |
| 3 | 0.105 | -2.49 |
| 4 | 0.044 | -2.60 |